[1]
# PBE with a Hubbard U Ta2ZnCoO7, optimized geometry
# Space-group type = P2_1/c (14)
# V = 1240.71 Å³ per cell
# Energy of formation = -2.5555 eV per atom
data_Ta2ZnCoO7
_chemical_formula_sum 'Ta16 Zn8 Co8 O56'
_symmetry_space_group_name_H-M 'P 1'
_symmetry_Int_Tables_number 1
_cell_length_a 15.1088
_cell_length_b 6.6287
_cell_length_c 12.7419
_cell_angle_alpha 76.47
_cell_angle_beta 90.00
_cell_angle_gamma 90.00
loop_
_symmetry_equiv_pos_as_xyz
'x,y,z'
loop_
_atom_site_label
_atom_site_type_symbol
_atom_site_fract_x
_atom_site_fract_y
_atom_site_fract_z
_atom_site_occupancy
Ta1 Ta 0.8962 0.1708 0.9842 1
Ta2 Ta 0.0277 0.5613 0.6879 1
Ta3 Ta 0.4723 0.5613 0.1879 1
Ta4 Ta 0.9723 0.4387 0.3121 1
Ta5 Ta 0.7311 0.4883 0.7963 1
Ta6 Ta 0.2311 0.5117 0.7037 1
Ta7 Ta 0.2689 0.5117 0.2037 1
Ta8 Ta 0.7689 0.4883 0.2963 1
Ta9 Ta 0.5277 0.4387 0.8121 1
Ta10 Ta 0.1394 0.1235 0.4960 1
Ta11 Ta 0.6394 0.8765 0.0040 1
Ta12 Ta 0.8606 0.8765 0.5040 1
Ta13 Ta 0.3962 0.8292 0.5158 1
Ta14 Ta 0.6038 0.1708 0.4842 1
Ta15 Ta 0.1038 0.8292 0.0158 1
Ta16 Ta 0.3606 0.1235 0.9960 1
Zn1 Zn 0.5279 0.9826 0.7485 1
Zn2 Zn 0.8968 0.7033 0.9099 1
Zn3 Zn 0.3968 0.2967 0.5901 1
Zn4 Zn 0.1032 0.2967 0.0901 1
Zn5 Zn 0.6032 0.7033 0.4099 1
Zn6 Zn 0.9721 0.9826 0.2485 1
Zn7 Zn 0.4721 0.0174 0.2515 1
Zn8 Zn 0.0279 0.0174 0.7515 1
Co1 Co 0.6846 0.3702 0.0604 1
Co2 Co 0.1846 0.6298 0.4396 1
Co3 Co 0.3154 0.6298 0.9396 1
Co4 Co 0.8154 0.3702 0.5604 1
Co5 Co 0.7682 0.0291 0.2269 1
Co6 Co 0.2682 0.9709 0.2731 1
Co7 Co 0.2318 0.9709 0.7731 1
Co8 Co 0.7318 0.0291 0.7269 1
O1 O 0.0121 0.2535 0.9762 1
O2 O 0.5121 0.7465 0.5238 1
O3 O 0.9879 0.7465 0.0238 1
O4 O 0.4879 0.2535 0.4762 1
O5 O 0.8661 0.9960 0.8957 1
O6 O 0.3661 0.0040 0.6043 1
O7 O 0.1339 0.0040 0.1043 1
O8 O 0.6339 0.9960 0.3957 1
O9 O 0.8767 0.0542 0.1322 1
O10 O 0.3767 0.9458 0.3678 1
O11 O 0.1233 0.9458 0.8678 1
O12 O 0.6233 0.0542 0.6322 1
O13 O 0.2807 0.3351 0.9716 1
O14 O 0.7807 0.6649 0.5284 1
O15 O 0.7193 0.6649 0.0284 1
O16 O 0.2193 0.3351 0.4716 1
O17 O 0.3669 0.0061 0.1467 1
O18 O 0.8669 0.9939 0.3533 1
O19 O 0.6331 0.9939 0.8533 1
O20 O 0.1331 0.0061 0.6467 1
O21 O 0.3156 0.9304 0.9238 1
O22 O 0.4798 0.6988 0.7983 1
O23 O 0.8156 0.0696 0.5762 1
O24 O 0.1844 0.9304 0.4238 1
O25 O 0.4749 0.2708 0.7243 1
O26 O 0.9749 0.7292 0.7757 1
O27 O 0.5251 0.7292 0.2757 1
O28 O 0.0251 0.2708 0.2243 1
O29 O 0.4695 0.2510 0.9424 1
O30 O 0.9695 0.7490 0.5576 1
O31 O 0.5305 0.7490 0.0576 1
O32 O 0.0305 0.2510 0.4424 1
O33 O 0.8752 0.5214 0.2109 1
O34 O 0.3752 0.4786 0.2891 1
O35 O 0.1248 0.4786 0.7891 1
O36 O 0.6248 0.5214 0.7109 1
O37 O 0.7186 0.3119 0.2167 1
O38 O 0.2186 0.6881 0.2833 1
O39 O 0.2814 0.6881 0.7833 1
O40 O 0.7814 0.3119 0.7167 1
O41 O 0.6717 0.4214 0.4262 1
O42 O 0.1717 0.5786 0.0738 1
O43 O 0.3283 0.5786 0.5738 1
O44 O 0.8283 0.4214 0.9262 1
O45 O 0.7233 0.7487 0.2617 1
O46 O 0.2233 0.2513 0.2383 1
O47 O 0.2767 0.2513 0.7383 1
O48 O 0.7767 0.7487 0.7617 1
O49 O 0.8639 0.4166 0.4096 1
O50 O 0.3639 0.5834 0.0904 1
O51 O 0.1361 0.5834 0.5904 1
O52 O 0.6361 0.4166 0.9096 1
O53 O 0.0202 0.6988 0.2983 1
O54 O 0.5202 0.3012 0.2017 1
O55 O 0.9798 0.3012 0.7017 1
O56 O 0.6844 0.0696 0.0762 1

---

[2]
# PBE with a Hubbard U Co3TeO8, optimized geometry
# Space-group type = P-1 (2)
# V = 310.55 Å³ per cell
# Energy of formation = -1.2105 eV per atom
data_Co3TeO8
_chemical_formula_sum 'Co6 Te2 O16'
_symmetry_space_group_name_H-M 'P 1'
_symmetry_Int_Tables_number 1
_cell_length_a 5.8143
_cell_length_b 6.0622
_cell_length_c 10.5794
_cell_angle_alpha 104.52
_cell_angle_beta 106.00
_cell_angle_gamma 61.04
loop_
_symmetry_equiv_pos_as_xyz
'x,y,z'
loop_
_atom_site_label
_atom_site_type_symbol
_atom_site_fract_x
_atom_site_fract_y
_atom_site_fract_z
_atom_site_occupancy
Co1 Co 0.0000 0.5000 0.5000 1
Co2 Co 0.5000 0.0000 0.5000 1
Co3 Co 0.5000 0.5000 0.0000 1
Co4 Co 0.5000 0.0000 0.0000 1
Co5 Co 0.0000 0.5000 0.0000 1
Co6 Co 0.0000 0.0000 0.5000 1
Te1 Te 0.9999 0.0000 0.0000 1
Te2 Te 0.5000 0.5000 0.5000 1
O1 O 0.1323 0.1537 0.4208 1
O2 O 0.6251 0.6546 0.9183 1
O3 O 0.3749 0.3454 0.0817 1
O4 O 0.8677 0.8463 0.5792 1
O5 O 0.6472 0.6087 0.3951 1
O6 O 0.1418 0.1235 0.8979 1
O7 O 0.1382 0.6064 0.3945 1
O8 O 0.6382 0.1043 0.8942 1
O9 O 0.6335 0.1430 0.4089 1
O10 O 0.1396 0.6503 0.9054 1
O11 O 0.8605 0.3497 0.0946 1
O12 O 0.3665 0.8570 0.5911 1
O13 O 0.3617 0.8957 0.1058 1
O14 O 0.8618 0.3936 0.6055 1
O15 O 0.8582 0.8765 0.1021 1
O16 O 0.3528 0.3913 0.6049 1

---

[3]
# PBE with a Hubbard U Co4TeO8, optimized geometry
# Space-group type = C2/m (12)
# V = 315.72 Å³ per cell
# Energy of formation = -1.2901 eV per atom
data_Co4TeO8
_chemical_formula_sum 'Co8 Te2 O16'
_symmetry_space_group_name_H-M 'P 1'
_symmetry_Int_Tables_number 1
_cell_length_a 6.0439
_cell_length_b 10.2640
_cell_length_c 6.0444
_cell_angle_alpha 77.02
_cell_angle_beta 60.70
_cell_angle_gamma 77.00
loop_
_symmetry_equiv_pos_as_xyz
'x,y,z'
loop_
_atom_site_label
_atom_site_type_symbol
_atom_site_fract_x
_atom_site_fract_y
_atom_site_fract_z
_atom_site_occupancy
Co1 Co 0.5000 0.5000 0.5000 1
Co2 Co 0.0000 0.0000 0.0000 1
Co3 Co 0.2513 0.2519 0.2513 1
Co4 Co 0.7487 0.7481 0.7487 1
Co5 Co 0.0000 0.0000 0.5000 1
Co6 Co 0.5000 0.5000 0.0000 1
Co7 Co 0.5000 0.0000 0.0000 1
Co8 Co 0.0000 0.5000 0.5000 1
Te1 Te 0.0000 0.5000 0.0000 1
Te2 Te 0.5000 0.0000 0.5000 1
O1 O 0.3691 0.8944 0.3689 1
O2 O 0.8786 0.3884 0.8784 1
O3 O 0.1214 0.6116 0.1216 1
O4 O 0.6309 0.1056 0.6311 1
O5 O 0.8472 0.8996 0.8471 1
O6 O 0.3443 0.4080 0.3442 1
O7 O 0.6557 0.5920 0.6558 1
O8 O 0.1528 0.1004 0.1529 1
O9 O 0.8901 0.3935 0.3484 1
O10 O 0.3854 0.8895 0.8384 1
O11 O 0.3486 0.3935 0.8900 1
O12 O 0.8385 0.8895 0.3853 1
O13 O 0.6146 0.1105 0.1616 1
O14 O 0.1099 0.6065 0.6516 1
O15 O 0.1615 0.1105 0.6147 1
O16 O 0.6514 0.6065 0.1100 1